(1)
Below is NaAs after structural relaxation, with properties calculated at the r²SCAN level.

Computed properties:
As for the energy above the most stable polymorph in this dataset: 4 meV per atom. Its electronic total energy is -19.30 eV per formula unit. As for the mass density: 3.39 g cm⁻³. As for the total magnetization: 0.00 Bohr magnetons per cell. The space-group type is No. 19.

Cell: 5.900 6.219 10.451 Å, 90.00 90.00 90.00°
Element x y z (fractional)
Na 0.113 0.101 0.422
Na 0.153 0.342 0.795
Na 0.347 0.658 0.295
Na 0.387 0.899 0.922
Na 0.613 0.399 0.578
Na 0.653 0.158 0.205
Na 0.847 0.842 0.705
Na 0.887 0.601 0.078
As 0.116 0.537 0.540
As 0.153 0.168 0.127
As 0.347 0.832 0.627
As 0.384 0.463 0.040
As 0.616 0.963 0.460
As 0.653 0.332 0.873
As 0.847 0.668 0.373
As 0.884 0.037 0.960

---

(2)
Below is Na3NbAs2O9 after structural relaxation, with properties calculated at the r²SCAN level.

Computed properties:
Its electronic total energy is -148.43 eV per formula unit. As for the mass density: 3.68 g cm⁻³. As for the total magnetization: 0.00 Bohr magnetons per cell. The space-group type is No. 14.

Cell: 9.676 8.462 10.606 Å, 90.00 108.74 90.00°
Element x y z (fractional)
Na 0.035 0.045 0.261
Na 0.035 0.455 0.761
Na 0.296 0.739 0.856
Na 0.296 0.761 0.356
Na 0.338 0.050 0.004
Na 0.338 0.450 0.504
Na 0.662 0.550 0.496
Na 0.662 0.950 0.996
Na 0.704 0.239 0.644
Na 0.704 0.261 0.144
Na 0.965 0.545 0.239
Na 0.965 0.955 0.739
Nb 0.280 0.079 0.614
Nb 0.280 0.421 0.114
Nb 0.720 0.579 0.886
Nb 0.720 0.921 0.386
As 0.074 0.733 0.525
As 0.074 0.767 0.025
As 0.431 0.172 0.360
As 0.431 0.328 0.860
As 0.569 0.672 0.140
As 0.569 0.828 0.640
As 0.926 0.233 0.975
As 0.926 0.267 0.475
O 0.083 0.715 0.684
O 0.083 0.785 0.184
O 0.098 0.207 0.571
O 0.098 0.293 0.071
O 0.125 0.582 0.451
O 0.125 0.918 0.951
O 0.175 0.604 0.000
O 0.175 0.896 0.500
O 0.278 0.153 0.405
O 0.278 0.347 0.905
O 0.281 0.505 0.267
O 0.281 0.995 0.767
O 0.382 0.211 0.192
O 0.382 0.289 0.692
O 0.462 0.687 0.550
O 0.462 0.813 0.050
O 0.487 0.010 0.627
O 0.487 0.490 0.127
O 0.513 0.510 0.873
O 0.513 0.990 0.373
O 0.538 0.187 0.950
O 0.538 0.313 0.450
O 0.618 0.711 0.308
O 0.618 0.789 0.808
O 0.719 0.005 0.233
O 0.719 0.495 0.733
O 0.722 0.653 0.095
O 0.722 0.847 0.595
O 0.825 0.104 0.500
O 0.825 0.396 0.000
O 0.875 0.082 0.049
O 0.875 0.418 0.549
O 0.902 0.707 0.929
O 0.902 0.793 0.429
O 0.917 0.215 0.816
O 0.917 0.285 0.316

---

(3)
Below is NaAsO3 after structural relaxation, with properties calculated at the r²SCAN level.

Computed properties:
Its electronic total energy is -44.34 eV per formula unit. As for the mass density: 3.47 g cm⁻³. As for the total magnetization: 0.00 Bohr magnetons per cell. The space-group type is No. 2.

Cell: 7.289 7.446 7.953 Å, 103.54 91.40 90.25°
Element x y z (fractional)
Na 0.015 0.247 0.489
Na 0.246 0.922 0.217
Na 0.256 0.443 0.225
Na 0.744 0.557 0.775
Na 0.754 0.078 0.783
Na 0.985 0.753 0.511
As 0.218 0.550 0.831
As 0.229 0.121 0.829
As 0.453 0.779 0.608
As 0.547 0.221 0.392
As 0.771 0.879 0.171
As 0.782 0.450 0.169
O 0.047 0.543 0.690
O 0.054 0.055 0.691
O 0.193 0.640 0.039
O 0.219 0.126 0.036
O 0.300 0.733 0.446
O 0.322 0.334 0.810
O 0.324 0.235 0.416
O 0.417 0.646 0.762
O 0.429 0.004 0.740
O 0.571 0.996 0.260
O 0.583 0.354 0.238
O 0.676 0.765 0.584
O 0.678 0.666 0.190
O 0.700 0.267 0.554
O 0.781 0.874 0.964
O 0.807 0.360 0.961
O 0.946 0.945 0.309
O 0.953 0.457 0.310

---

(4)
Below is Na2Sr3As4 after structural relaxation, with properties calculated at the r²SCAN level.

Computed properties:
Its electronic total energy is -120.75 eV per formula unit. As for the mass density: 4.16 g cm⁻³. As for the total magnetization: 0.00 Bohr magnetons per cell. The space-group type is No. 14.

Cell: 8.273 7.529 17.638 Å, 90.00 117.88 90.00°
Element x y z (fractional)
Na 0.205 0.183 0.376
Na 0.205 0.317 0.876
Na 0.264 0.645 0.751
Na 0.264 0.855 0.251
Na 0.736 0.145 0.749
Na 0.736 0.355 0.249
Na 0.795 0.683 0.124
Na 0.795 0.817 0.624
Sr 0.052 0.679 0.371
Sr 0.052 0.821 0.871
Sr 0.294 0.524 0.099
Sr 0.294 0.976 0.599
Sr 0.410 0.024 0.100
Sr 0.410 0.476 0.600
Sr 0.590 0.524 0.400
Sr 0.590 0.976 0.900
Sr 0.706 0.024 0.401
Sr 0.706 0.476 0.901
Sr 0.948 0.179 0.129
Sr 0.948 0.321 0.629
As 0.005 0.649 0.537
As 0.005 0.851 0.037
As 0.168 0.019 0.750
As 0.168 0.481 0.250
As 0.377 0.240 0.249
As 0.377 0.260 0.749
As 0.431 0.646 0.963
As 0.431 0.854 0.463
As 0.569 0.146 0.537
As 0.569 0.354 0.037
As 0.623 0.740 0.251
As 0.623 0.760 0.751
As 0.832 0.519 0.750
As 0.832 0.981 0.250
As 0.995 0.149 0.963
As 0.995 0.351 0.463

---

(5)
Below is NaZnAs after structural relaxation, with properties calculated at the r²SCAN level.

Computed properties:
Its electronic total energy is -28.80 eV per formula unit. As for the mass density: 4.49 g cm⁻³. As for the total magnetization: 0.00 Bohr magnetons per cell. The space-group type is No. 129.

Cell: 4.141 4.141 7.036 Å, 90.00 90.00 90.00°
Element x y z (fractional)
Na 0.250 0.250 0.150
Na 0.750 0.750 0.850
Zn 0.250 0.750 0.500
Zn 0.750 0.250 0.500
As 0.250 0.250 0.718
As 0.750 0.750 0.282

---

(6)
Below is NbAs after structural relaxation, with properties calculated at the r²SCAN level.

Computed properties:
Its electronic total energy is -40.98 eV per formula unit. As for the mass density: 7.85 g cm⁻³. As for the total magnetization: 0.00 Bohr magnetons per cell. The space-group type is No. 109.

Cell: 3.467 3.467 11.810 Å, 90.00 90.00 90.00°
Element x y z (fractional)
Nb 0.000 0.000 0.000
Nb 0.000 0.500 0.250
Nb 0.500 0.000 0.750
Nb 0.500 0.500 0.500
As 0.000 0.000 0.418
As 0.000 0.500 0.668
As 0.500 0.000 0.168
As 0.500 0.500 0.918

---

(7)
Below is NbAs2 after structural relaxation, with properties calculated at the r²SCAN level.

Computed properties:
Its electronic total energy is -55.94 eV per formula unit. As for the mass density: 7.33 g cm⁻³. As for the total magnetization: 0.00 Bohr magnetons per cell. The space-group type is No. 12.

Cell: 9.391 3.425 7.857 Å, 90.00 119.47 90.00°
Element x y z (fractional)
Nb 0.157 0.000 0.197
Nb 0.343 0.500 0.803
Nb 0.657 0.500 0.197
Nb 0.843 0.000 0.803
As 0.095 0.500 0.895
As 0.141 0.000 0.529
As 0.359 0.500 0.471
As 0.405 0.000 0.105
As 0.595 0.000 0.895
As 0.641 0.500 0.529
As 0.859 0.000 0.471
As 0.905 0.500 0.105

---

(8)
Below is Nb3Te3As after structural relaxation, with properties calculated at the r²SCAN level.

Computed properties:
Its electronic total energy is -169.55 eV per formula unit. As for the mass density: 7.12 g cm⁻³. As for the total magnetization: 0.00 Bohr magnetons per cell. The space-group type is No. 176.

Cell: 10.523 10.523 3.583 Å, 90.00 90.00 120.00°
Element x y z (fractional)
Nb 0.125 0.504 0.250
Nb 0.379 0.875 0.250
Nb 0.496 0.621 0.250
Nb 0.504 0.379 0.750
Nb 0.621 0.125 0.750
Nb 0.875 0.496 0.750
Te 0.052 0.722 0.250
Te 0.278 0.330 0.250
Te 0.330 0.052 0.750
Te 0.670 0.948 0.250
Te 0.722 0.670 0.750
Te 0.948 0.278 0.750
As 0.333 0.667 0.750
As 0.667 0.333 0.250

---

| no. | ΔH_f (0 K) (eV/atom) |
| --- | --- |
| 1 | -0.5153 |
| 2 | -1.9893 |
| 3 | -1.6296 |
| 4 | -1.0396 |
| 5 | -0.5384 |
| 6 | -0.7707 |
| 7 | -0.5973 |
| 8 | -0.6265 |